No. 1
K2CuSbBr6: relaxed, GGA-PBE.

Computed properties:
Uncorrected energy (eV per atom): -3.00
Formation energy (eV per atom): -1.296

Unit cell a=7.7313 b=7.7313 c=7.7313 alpha=60.00 beta=60.00 gamma=60.00
Closest atoms and distances in Å follow each position.
Sites, in units of the cell vectors:
K (0.7500, 0.7500, 0.7500)  12 Br 3.87
K (0.2500, 0.2500, 0.2500)  12 Br 3.87
Br (0.2416, 0.7584, 0.2416)  1 Cu 2.64, 1 Sb 2.83
Br (0.7584, 0.2416, 0.7584)  1 Cu 2.64, 1 Sb 2.83
Br (0.7584, 0.2416, 0.2416)  1 Cu 2.64, 1 Sb 2.83
Br (0.2416, 0.2416, 0.7584)  1 Cu 2.64, 1 Sb 2.83
Br (0.7584, 0.7584, 0.2416)  1 Cu 2.64, 1 Sb 2.83
Br (0.2416, 0.7584, 0.7584)  1 Cu 2.64, 1 Sb 2.83
Sb (0.5000, 0.5000, 0.5000)  6 Br 2.83
Cu (0.0000, 0.0000, 0.0000)  6 Br 2.64



No. 2
K2YCuBr6: relaxed, GGA-PBE.

Computed properties:
Uncorrected energy (eV per atom): -3.72
Formation energy (eV per atom): -1.780

Unit cell a=7.7342 b=7.7342 c=7.7342 alpha=60.00 beta=60.00 gamma=60.00
Closest atoms and distances in Å follow each position.
Sites, in units of the cell vectors:
Br (0.2552, 0.7448, 0.7448)  1 Cu 2.68, 1 Y 2.79
Br (0.7448, 0.2552, 0.7448)  1 Cu 2.68, 1 Y 2.79
Br (0.2552, 0.7448, 0.2552)  1 Cu 2.68, 1 Y 2.79
Br (0.2552, 0.2552, 0.7448)  1 Cu 2.68, 1 Y 2.79
Br (0.7448, 0.2552, 0.2552)  1 Cu 2.68, 1 Y 2.79
Br (0.7448, 0.7448, 0.2552)  1 Cu 2.68, 1 Y 2.79
K (0.2500, 0.2500, 0.2500)  12 Br 3.87
K (0.7500, 0.7500, 0.7500)  12 Br 3.87
Cu (0.5000, 0.5000, 0.5000)  6 Br 2.68
Y (0.0000, 0.0000, 0.0000)  6 Br 2.79



No. 3
LaTa2CuBrO7: relaxed, GGA-PBE.

Computed properties:
Uncorrected energy (eV per atom): -8.26
Formation energy (eV per atom): -2.908

Unit cell a=3.9295 b=3.9295 c=11.7900 alpha=90.00 beta=90.00 gamma=90.00
Closest atoms and distances in Å follow each position.
Sites, in units of the cell vectors:
Br (0.5000, 0.5000, 0.5000)  4 Cu 2.78
O (0.0000, 0.0000, 0.0000)  2 Ta 2.25
O (0.0000, 0.5000, 0.8445)  2 Ta 2.01
O (0.0000, 0.5000, 0.1555)  2 Ta 2.01
O (0.0000, 0.0000, 0.3437)  1 Ta 1.80, 1 Cu 1.84
O (0.0000, 0.0000, 0.6563)  1 Ta 1.80, 1 Cu 1.84
O (0.5000, 0.0000, 0.1555)  2 Ta 2.01
O (0.5000, 0.0000, 0.8445)  2 Ta 2.01
Cu (0.0000, 0.0000, 0.5000)  2 O 1.84
La (0.5000, 0.5000, 0.0000)  12 O 2.69-2.78
Ta (0.0000, 0.0000, 0.8090)  5 O 1.80-2.01
Ta (0.0000, 0.0000, 0.1910)  5 O 1.80-2.01



No. 4
Sr2LiCuBrO2: relaxed, GGA-PBE.

Computed properties:
Energy above the lowest structure with this stoichiometry (kJ per mole of atoms): 0.0
Uncorrected energy (eV per atom): -4.68
Formation energy (eV per atom): -1.888

Unit cell a=10.1752 b=10.2216 c=10.1752 alpha=23.94 beta=24.03 gamma=23.94
Closest atoms and distances in Å follow each position.
Sites, in units of the cell vectors:
Br (0.9744, 0.0704, 0.9744)  3 Li 2.61-2.62
O (0.4098, 0.4841, 0.4098)  1 Li 1.88, 1 Cu 1.97
O (0.5451, 0.6015, 0.5451)  1 Cu 1.86
Li (0.3405, 0.4323, 0.3405)  1 O 1.88
Cu (0.4798, 0.5436, 0.4798)  2 O 1.86-1.97
Sr (0.7512, 0.8229, 0.7512)  3 O 2.45
Sr (0.2210, 0.2766, 0.2210)  3 O 2.46



Q: The highest uncorrected energy belongs to which entry?
A: K2CuSbBr6